[1]
Here is an optimized crystal structure of Sr5Re3ClO15 from the Materials Project. Energies are from GGA-PBE.

Values from the calculation:
Its formation energy is -2.75 eV/atom. The corrected total energy (MP2020 scheme) comes out at -7.827 eV per atom.

extended XYZ file:
```
96
Lattice="7.524 0.000 0.000 0.000 10.692 0.000 0.000 0.000 18.683" Properties=species:S:1:pos:R:3 pbc="T T T"
Sr 2.094 5.235 14.012
Sr 1.959 4.127 2.058
Sr 3.759 8.057 7.751
Sr 0.003 2.710 10.932
Sr 3.764 2.636 10.932
Sr 5.565 6.565 16.625
Sr 3.764 2.636 17.092
Sr 1.803 9.473 11.399
Sr 5.565 6.565 11.399
Sr 3.759 8.057 1.591
Sr 1.959 4.127 7.284
Sr 7.521 7.982 1.591
Sr 1.668 10.581 4.671
Sr 5.430 5.457 4.671
Sr 5.855 0.111 14.012
Sr 5.721 1.219 2.058
Sr 0.003 2.710 17.092
Sr 5.721 1.219 7.284
Sr 1.803 9.473 16.625
Sr 7.521 7.982 7.751
Re 5.961 4.714 1.071
Re 1.660 1.565 14.012
Re 2.199 0.632 8.271
Re 2.199 0.632 1.071
Re 5.325 10.060 10.412
Re 5.961 4.714 8.271
Re 5.864 9.127 4.671
Re 2.102 6.911 4.671
Re 1.563 5.978 10.412
Re 5.325 10.060 17.612
Re 1.563 5.978 17.612
Re 5.422 3.781 14.012
Cl 6.600 2.604 4.671
Cl 4.686 7.950 14.012
Cl 2.838 2.743 4.671
Cl 0.924 8.089 14.012
O 6.943 9.936 3.402
O 5.536 6.460 0.582
O 0.615 5.989 4.671
O 5.638 7.764 3.411
O 3.182 6.102 5.939
O 3.355 2.078 0.962
O 0.290 5.226 16.510
O 1.698 1.067 10.008
O 5.825 9.625 0.667
O 6.908 4.703 14.012
O 2.063 6.413 0.667
O 0.290 5.226 11.514
O 1.774 9.579 0.582
O 7.234 5.466 7.169
O 5.460 4.279 10.008
O 5.460 4.279 18.016
O 4.169 8.614 17.720
O 4.705 4.160 7.160
O 0.943 1.186 2.181
O 0.943 1.186 7.160
O 6.581 9.506 11.523
O 0.407 7.424 10.304
O 1.988 4.232 9.923
O 4.052 0.120 16.510
O 7.234 5.466 2.173
O 4.342 4.590 15.281
O 2.063 6.413 8.674
O 2.819 6.532 16.501
O 1.886 2.928 12.752
O 5.825 9.625 8.674
O 3.355 2.078 8.379
O 1.988 4.232 18.101
O 3.182 6.102 3.402
O 5.638 7.764 5.931
O 4.052 0.120 11.514
O 5.536 6.460 8.760
O 6.943 9.936 5.939
O 6.581 9.506 16.501
O 1.698 1.067 18.016
O 1.886 2.928 15.272
O 3.472 10.572 2.173
O 7.117 3.268 0.962
O 4.705 4.160 2.181
O 4.169 8.614 10.304
O 4.377 10.049 4.671
O 5.647 2.418 12.752
O 0.580 0.756 15.281
O 3.147 0.643 14.012
O 4.342 4.590 12.743
O 1.876 8.275 3.411
O 5.750 1.114 18.101
O 1.876 8.275 5.931
O 1.774 9.579 8.760
O 5.647 2.418 15.272
O 0.407 7.424 17.720
O 2.819 6.532 11.523
O 5.750 1.114 9.923
O 7.117 3.268 8.379
O 3.472 10.572 7.169
O 0.580 0.756 12.743
```

=====

[2]
Here is an optimized crystal structure of HoAs from the Materials Project. Energies are from GGA-PBE.

Values from the calculation:
Its formation energy is -1.52 eV/atom.

extended XYZ file:
```
2
Lattice="-2.900 -2.900 0.000 -2.900 0.000 -2.900 0.000 -2.900 -2.900" Properties=species:S:1:pos:R:3 pbc="T T T"
Ho -2.900 -2.900 -2.900
As 0.000 0.000 0.000
```

=====

[3]
Here is an optimized crystal structure of BaPt2S3 from the Materials Project. Energies are from GGA-PBE.

Values from the calculation:
Its formation energy is -1.23 eV/atom. The corrected total energy (MP2020 scheme) comes out at -5.642 eV per atom.

extended XYZ file:
```
72
Lattice="11.209 0.000 0.000 0.000 11.209 0.000 0.000 0.000 13.339" Properties=species:S:1:pos:R:3 pbc="T T T"
Ba 10.073 7.594 3.333
Ba 9.220 4.468 6.668
Ba 7.594 10.073 10.006
Ba 6.741 1.989 0.002
Ba 1.989 6.741 13.337
Ba 1.136 3.615 10.002
Ba 4.418 4.418 6.670
Ba 3.615 1.136 3.337
Ba 4.468 9.220 6.671
Ba 1.187 10.022 10.004
Ba 10.022 1.187 3.335
Ba 6.791 6.791 0.000
Pt 7.110 0.445 4.895
Pt 4.011 3.023 11.577
Pt 1.247 1.247 0.000
Pt 0.445 7.110 8.444
Pt 4.333 6.876 10.004
Pt 9.962 9.962 6.670
Pt 8.628 1.594 8.242
Pt 1.505 5.160 5.110
Pt 9.937 9.937 0.000
Pt 8.186 7.198 8.432
Pt 9.616 2.582 11.767
Pt 2.582 9.616 1.572
Pt 6.852 4.357 10.004
Pt 5.160 1.505 8.230
Pt 6.049 9.704 1.560
Pt 1.272 1.272 6.670
Pt 1.594 8.628 5.097
Pt 7.198 8.186 4.907
Pt 9.704 6.049 11.779
Pt 4.357 6.852 3.335
Pt 10.764 4.099 1.775
Pt 6.876 4.333 3.335
Pt 4.099 10.764 11.564
Pt 3.023 4.011 1.762
S 1.281 3.616 3.352
S 1.989 6.886 6.687
S 6.709 6.709 6.670
S 3.585 1.261 13.077
S 6.699 6.664 3.185
S 7.624 9.948 6.407
S 1.104 10.105 3.335
S 1.060 10.115 13.189
S 3.633 1.176 6.438
S 9.221 4.324 0.017
S 1.094 10.149 6.819
S 1.972 6.780 10.236
S 4.429 9.237 9.772
S 10.115 1.060 0.150
S 9.237 4.429 3.567
S 3.616 1.281 9.987
S 10.033 7.576 0.232
S 1.261 3.585 0.262
S 6.866 2.019 9.742
S 6.886 1.989 6.653
S 4.500 4.500 0.000
S 7.576 10.033 13.107
S 10.149 1.094 6.520
S 4.510 4.545 9.855
S 2.019 6.866 3.597
S 6.780 1.972 3.103
S 9.190 4.344 10.266
S 10.105 1.104 10.004
S 9.928 7.593 10.021
S 4.344 9.190 3.073
S 9.948 7.624 6.932
S 6.664 6.699 10.154
S 7.593 9.928 3.318
S 1.176 3.633 6.902
S 4.324 9.221 13.322
S 4.545 4.510 3.485
```